# CsW3Br7 GGA-PBE optimized geometry
data_CsW3Br7
_cell_length_a 10.4848
_cell_length_b 10.4848
_cell_length_c 15.8268
_cell_angle_alpha 90.00
_cell_angle_beta 90.00
_cell_angle_gamma 120.00
_symmetry_space_group_name_H-M 'P -3 1 c'
_symmetry_Int_Tables_number 163
_symmetry_space_group_name_Hall '-P 3 2c'
loop_
_atom_site_label
_atom_site_fract_x
_atom_site_fract_y
_atom_site_fract_z
_atom_site_occupancy
Cs1 0.0000 0.0000 0.0000 1
Cs2 0.3333 0.6667 0.2500 1
W1 0.1861 0.5206 0.8185 1
Br1 0.0291 0.3452 0.4095 1
Br2 0.0426 0.3709 0.6792 1
Br3 0.3333 0.6667 0.5447 1
# DFT formation energy = -11.87 eV/f.u.
# E = -5.40 eV/atom

# CeSe2 GGA-PBE optimized geometry
data_CeSe2
_cell_length_a 31.8215
_cell_length_b 22.8901
_cell_length_c 13.0068
_cell_angle_alpha 90.00
_cell_angle_beta 101.82
_cell_angle_gamma 90.00
_symmetry_space_group_name_H-M 'C 1 2/m 1'
_symmetry_Int_Tables_number 12
loop_
_symmetry_equiv_pos_as_xyz
'x,y,z'
'-x,-y,-z'
'-x,y,-z'
'x,-y,z'
'x+1/2,y+1/2,z'
'-x+1/2,-y+1/2,-z'
'-x+1/2,y+1/2,-z'
'x+1/2,-y+1/2,z'
loop_
_atom_site_label
_atom_site_fract_x
_atom_site_fract_y
_atom_site_fract_z
_atom_site_occupancy
Ce1 0.0124 0.1138 0.3010 1
Ce2 0.1474 0.1145 0.9008 1
Ce3 0.1612 0.2035 0.2722 1
Ce4 0.2489 0.1128 0.6215 1
Se1 0.0000 0.1256 0.5000 1
Se2 0.0311 0.0000 0.2755 1
Se3 0.0634 0.1423 0.8288 1
Se4 0.0761 0.1858 0.2655 1
Se5 0.1556 0.0000 0.9554 1
Se6 0.1766 0.1781 0.0789 1
Se7 0.1809 0.3181 0.3211 1
Se8 0.1936 0.1369 0.7514 1
Se9 0.2096 0.1333 0.4185 1
Se10 0.2227 0.5000 0.3546 1
# DFT formation energy = -4.19 eV/f.u.
# E = -5.39 eV/atom

These records have volume values of 34.24; 96.60 Å³ per atom, in the order they appear.